Entry from the Materials Project database: a geometry-optimized Al2PbSe4 structure (r²SCAN).

a = 6.2888 Å, b = 6.2888 Å, c = 10.9480 Å
α = 90.00°, β = 90.00°, γ = 120.69°
With the nearest neighbours (Å) after each atom.
Atoms (fractional coordinates):
1 Al 0.2391 0.7584 0.0000  4 Se 2.39-2.42
2 Al 0.2416 0.7609 0.5000  4 Se 2.39-2.42
3 Al 0.7584 0.2391 0.5000  4 Se 2.39-2.42
4 Al 0.7609 0.2416 0.0000  4 Se 2.39-2.42
5 Pb 0.5000 0.5000 0.2500  8 Se 3.23-3.27
6 Pb 0.5000 0.5000 0.7500  8 Se 3.23-3.27
7 Se 0.0000 0.5000 0.1671  2 Al 2.40
8 Se 0.1820 0.3491 0.5000  2 Al 2.39-2.42
9 Se 0.5000 0.0000 0.3329  2 Al 2.40
10 Se 0.3491 0.1820 0.0000  2 Al 2.39-2.42
11 Se 0.6509 0.8180 0.0000  2 Al 2.39-2.42
12 Se 0.5000 0.0000 0.6671  2 Al 2.40
13 Se 0.8180 0.6509 0.5000  2 Al 2.39-2.42
14 Se 0.0000 0.5000 0.8329  2 Al 2.40

Summary:
The energy above the most stable polymorph in this dataset comes out at 0 meV per atom. As for the symmetry: No. 66.

Entry from the Materials Project database: a geometry-optimized Al2FeIr structure (r²SCAN).

a = 4.1395 Å, b = 4.1385 Å, c = 4.1400 Å
α = 60.00°, β = 59.98°, γ = 60.02°
With the nearest neighbours (Å) after each atom.
Atoms (fractional coordinates):
1 Al 0.5000 0.5000 0.5000  4 Fe 2.53, 4 Ir 2.53
2 Al 0.0000 0.0000 0.0000  4 Fe 2.53, 4 Ir 2.53
3 Fe 0.2500 0.2500 0.2500  8 Al 2.53
4 Ir 0.7500 0.7500 0.7500  8 Al 2.53

Summary:
As for the symmetry: No. 225.

Entry from the Materials Project database: a geometry-optimized SiO2 structure (r²SCAN).

a = 7.5258 Å, b = 7.5258 Å, c = 8.6836 Å
α = 90.00°, β = 90.00°, γ = 90.00°
With the nearest neighbours (Å) after each atom.
Atoms (fractional coordinates):
1 Si 0.9160 0.0840 0.2500  4 O 1.61
2 Si 0.3798 0.8261 0.9970  4 O 1.60-1.61
3 Si 0.8261 0.3798 0.0030  4 O 1.60-1.61
4 Si 0.1202 0.3261 0.7530  4 O 1.60-1.61
5 Si 0.8798 0.6739 0.2530  4 O 1.60-1.61
6 Si 0.5840 0.5840 0.5000  4 O 1.61
7 Si 0.6739 0.8798 0.7470  4 O 1.60-1.61
8 Si 0.4160 0.4160 0.0000  4 O 1.61
9 Si 0.1739 0.6202 0.5030  4 O 1.60-1.61
10 Si 0.3261 0.1202 0.2470  4 O 1.60-1.61
11 Si 0.6202 0.1739 0.4970  4 O 1.60-1.61
12 Si 0.0840 0.9160 0.7500  4 O 1.61
13 O 0.3761 0.9446 0.1505  2 Si 1.60-1.61
14 O 0.3796 0.6159 0.4537  2 Si 1.61
15 O 0.7965 0.1362 0.3967  2 Si 1.61
16 O 0.8796 0.8841 0.7963  2 Si 1.61
17 O 0.6239 0.0554 0.6505  2 Si 1.60-1.61
18 O 0.8841 0.8796 0.2037  2 Si 1.61
19 O 0.2035 0.8638 0.8967  2 Si 1.61
20 O 0.9446 0.3761 0.8495  2 Si 1.60-1.61
21 O 0.8761 0.5554 0.0995  2 Si 1.60-1.61
22 O 0.0554 0.6239 0.3495  2 Si 1.60-1.61
23 O 0.1204 0.1159 0.2963  2 Si 1.61
24 O 0.2965 0.3638 0.8533  2 Si 1.61
25 O 0.1239 0.4446 0.5995  2 Si 1.60-1.61
26 O 0.6159 0.3796 0.5463  2 Si 1.61
27 O 0.4446 0.1239 0.4005  2 Si 1.60-1.61
28 O 0.1362 0.7965 0.6033  2 Si 1.61
29 O 0.6362 0.7035 0.6467  2 Si 1.61
30 O 0.5554 0.8761 0.9005  2 Si 1.60-1.61
31 O 0.1159 0.1204 0.7037  2 Si 1.61
32 O 0.6204 0.3841 0.9537  2 Si 1.61
33 O 0.7035 0.6362 0.3533  2 Si 1.61
34 O 0.3841 0.6204 0.0463  2 Si 1.61
35 O 0.3638 0.2965 0.1467  2 Si 1.61
36 O 0.8638 0.2035 0.1033  2 Si 1.61

Summary:
As for the symmetry: No. 96.

Entry from the Materials Project database: a geometry-optimized Ho11Ge10 structure (r²SCAN).

a = 10.8212 Å, b = 10.8212 Å, c = 11.1854 Å
α = 118.93°, β = 118.93°, γ = 90.00°
With the nearest neighbours (Å) after each atom.
Atoms (fractional coordinates):
1 Ho 0.2777 0.6013 0.2027  7 Ge 2.90-3.09
2 Ho 0.3987 0.0750 0.7973  7 Ge 2.90-3.09
3 Ho 0.9250 0.6013 0.2027  7 Ge 2.90-3.09
4 Ho 0.6013 0.9250 0.2027  7 Ge 2.90-3.09
5 Ho 0.6013 0.2777 0.2027  7 Ge 2.90-3.09
6 Ho 0.7223 0.3987 0.7973  7 Ge 2.90-3.09
7 Ho 0.0750 0.3987 0.7973  7 Ge 2.90-3.09
8 Ho 0.3987 0.7223 0.7973  7 Ge 2.90-3.09
9 Ho 0.6601 0.6601 0.3202  8 Ge 3.19-3.21
10 Ho 0.3399 0.3399 0.6798  8 Ge 3.19-3.21
11 Ho 0.8235 0.8235 0.0000  2 Ge 2.74
12 Ho 0.1765 0.8235 0.0000  2 Ge 2.74
13 Ho 0.8235 0.1765 0.0000  2 Ge 2.74
14 Ho 0.1765 0.1765 0.0000  2 Ge 2.74
15 Ho 0.1902 0.9375 0.3805  6 Ge 2.85-3.18
16 Ho 0.5571 0.8098 0.6195  6 Ge 2.85-3.18
17 Ho 0.0625 0.8098 0.6195  6 Ge 2.85-3.18
18 Ho 0.8098 0.0625 0.6195  6 Ge 2.85-3.18
19 Ho 0.8098 0.5571 0.6195  6 Ge 2.85-3.18
20 Ho 0.4429 0.1902 0.3805  6 Ge 2.85-3.18
21 Ho 0.9375 0.1902 0.3805  6 Ge 2.85-3.18
22 Ho 0.1902 0.4429 0.3805  6 Ge 2.85-3.18
23 Ge 0.1092 0.1092 0.6356  1 Ge 2.55
24 Ge 0.4736 0.4736 0.3644  1 Ge 2.55
25 Ge 0.8908 0.8908 0.3644  1 Ge 2.55
26 Ge 0.4736 0.8908 0.3644  1 Ge 2.55
27 Ge 0.8908 0.4736 0.3644  1 Ge 2.55
28 Ge 0.5264 0.1092 0.6356  1 Ge 2.55
29 Ge 0.1092 0.5264 0.6356  1 Ge 2.55
30 Ge 0.5264 0.5264 0.6356  1 Ge 2.55
31 Ge 0.7500 0.2500 0.5000  8 Ho 2.85-3.09
32 Ge 0.2500 0.7500 0.5000  8 Ho 2.85-3.09
33 Ge 0.6197 0.6197 0.0000  2 Ge 2.59
34 Ge 0.3803 0.6197 0.0000  2 Ge 2.59
35 Ge 0.6197 0.3803 0.0000  2 Ge 2.59
36 Ge 0.3803 0.3803 0.0000  2 Ge 2.59
37 Ge 0.8839 0.8839 0.7679  8 Ho 2.99-3.30
38 Ge 0.1161 0.1161 0.2321  8 Ho 2.99-3.30
39 Ge 0.6425 0.0000 0.0000  6 Ho 2.74-2.96
40 Ge 0.0000 0.6425 0.0000  6 Ho 2.74-2.96
41 Ge 0.0000 0.3575 0.0000  6 Ho 2.74-2.96
42 Ge 0.3575 0.0000 0.0000  6 Ho 2.74-2.96

Summary:
As for the symmetry: No. 139.

Entry from the Materials Project database: a geometry-optimized Ca3WO6 structure (r²SCAN).

a = 6.5421 Å, b = 6.5421 Å, c = 6.5421 Å
α = 91.65°, β = 91.65°, γ = 91.65°
With the nearest neighbours (Å) after each atom.
Atoms (fractional coordinates):
1 Ca 0.9340 0.4361 0.7472  6 O 2.30-2.45
2 Ca 0.7472 0.9340 0.4361  6 O 2.30-2.45
3 Ca 0.5639 0.2528 0.0660  6 O 2.30-2.45
4 Ca 0.4361 0.7472 0.9340  6 O 2.30-2.45
5 Ca 0.2528 0.0660 0.5639  6 O 2.30-2.45
6 Ca 0.0660 0.5639 0.2528  6 O 2.30-2.45
7 W 0.0000 0.0000 0.0000  6 O 1.94
8 W 0.5000 0.5000 0.5000  6 O 1.93
9 O 0.9382 0.2814 0.0690  1 W 1.94
10 O 0.9310 0.0618 0.7186  1 W 1.94
11 O 0.7814 0.5777 0.4527  1 W 1.93
12 O 0.7186 0.9310 0.0618  1 W 1.94
13 O 0.5777 0.4527 0.7814  1 W 1.93
14 O 0.5473 0.2186 0.4223  1 W 1.93
15 O 0.4527 0.7814 0.5777  1 W 1.93
16 O 0.4223 0.5473 0.2186  1 W 1.93
17 O 0.2814 0.0690 0.9382  1 W 1.94
18 O 0.2186 0.4223 0.5473  1 W 1.93
19 O 0.0690 0.9382 0.2814  1 W 1.94
20 O 0.0618 0.7186 0.9310  1 W 1.94

Summary:
As for the symmetry: No. 148.

Entry from the Materials Project database: a geometry-optimized NpSi2 structure (r²SCAN).

a = 3.9555 Å, b = 3.9555 Å, c = 7.6579 Å
α = 104.97°, β = 104.97°, γ = 90.00°
With the nearest neighbours (Å) after each atom.
Atoms (fractional coordinates):
1 Np 0.8750 0.6250 0.2500  12 Si 3.03-3.10
2 Np 0.1250 0.3750 0.7500  12 Si 3.03-3.10
3 Si 0.7072 0.9572 0.9143  3 Si 2.32-2.34
4 Si 0.4572 0.2072 0.4143  3 Si 2.32-2.34
5 Si 0.5428 0.7928 0.5857  3 Si 2.32-2.34
6 Si 0.2928 0.0428 0.0857  3 Si 2.32-2.34

Summary:
As for the symmetry: No. 141.

Entry from the Materials Project database: a geometry-optimized Pr2GaAg structure (r²SCAN).

a = 5.3088 Å, b = 5.3088 Å, c = 5.3088 Å
α = 60.00°, β = 60.00°, γ = 60.00°
With the nearest neighbours (Å) after each atom.
Atoms (fractional coordinates):
1 Pr 0.2500 0.2500 0.2500  4 Ag 3.25, 4 Ga 3.25
2 Pr 0.7500 0.7500 0.7500  4 Ag 3.25, 4 Ga 3.25
3 Ga 0.0000 0.0000 0.0000  8 Pr 3.25
4 Ag 0.5000 0.5000 0.5000  8 Pr 3.25

Summary:
As for the symmetry: No. 225.

Entry from the Materials Project database: a geometry-optimized Mg4FeO5 structure (r²SCAN).

a = 5.1564 Å, b = 5.9480 Å, c = 12.3864 Å
α = 90.00°, β = 98.52°, γ = 90.00°
With the nearest neighbours (Å) after each atom.
Atoms (fractional coordinates):
1 Mg 0.3965 0.4971 0.2029  6 O 2.07-2.11
2 Mg 0.8965 0.2529 0.2029  6 O 2.07-2.11
3 Mg 0.3965 0.9971 0.2029  6 O 2.07-2.11
4 Mg 0.8965 0.7529 0.2029  6 O 2.07-2.11
5 Mg 0.6028 0.5031 0.7972  6 O 2.05-2.13
6 Mg 0.1028 0.2469 0.7972  6 O 2.05-2.13
7 Mg 0.6028 0.0031 0.7972  6 O 2.06-2.13
8 Mg 0.1028 0.7469 0.7972  6 O 2.05-2.13
9 Mg 0.3004 0.2494 0.4011  6 O 2.09-2.11
10 Mg 0.8004 0.0005 0.4011  6 O 2.09-2.11
11 Mg 0.3004 0.7494 0.4011  6 O 2.09-2.11
12 Mg 0.8004 0.5005 0.4011  6 O 2.09-2.11
13 Mg 0.6995 0.7510 0.5990  6 O 2.09-2.11
14 Mg 0.1995 0.4990 0.5990  6 O 2.09-2.11
15 Mg 0.6995 0.2510 0.5990  6 O 2.09-2.11
16 Mg 0.1995 0.9990 0.5990  6 O 2.09-2.11
17 Fe 0.5016 0.7384 0.0000  6 O 2.06-2.22
18 Fe 0.0016 0.5116 0.0000  6 O 2.06-2.22
19 Fe 0.5016 0.2384 0.0000  6 O 2.06-2.22
20 Fe 0.0016 0.0116 0.0000  6 O 2.06-2.22
21 O 0.5000 0.5000 0.4999  6 Mg 2.09-2.11
22 O 0.0000 0.2499 0.4999  6 Mg 2.09-2.11
23 O 0.5000 0.0000 0.4999  6 Mg 2.09-2.11
24 O 0.0000 0.7499 0.4999  6 Mg 2.09-2.11
25 O 0.8071 0.7617 0.8936  3 Mg 2.06-2.13, 3 Fe 2.14-2.20
26 O 0.3071 0.4883 0.8935  3 Mg 2.05-2.13, 3 Fe 2.14-2.20
27 O 0.8071 0.2617 0.8936  3 Mg 2.05-2.13, 3 Fe 2.14-2.20
28 O 0.3071 0.9883 0.8935  3 Mg 2.05-2.13, 3 Fe 2.14-2.20
29 O 0.1925 0.2454 0.1066  3 Fe 2.06-2.22, 3 Mg 2.07-2.10
30 O 0.6925 0.0046 0.1066  3 Fe 2.06-2.22, 3 Mg 2.07-2.10
31 O 0.1924 0.7454 0.1066  3 Fe 2.06-2.22, 3 Mg 2.07-2.10
32 O 0.6925 0.5046 0.1066  3 Fe 2.06-2.22, 3 Mg 2.07-2.10
33 O 0.4015 0.2494 0.6978  6 Mg 2.09-2.12
34 O 0.9015 0.0006 0.6978  6 Mg 2.09-2.12
35 O 0.4015 0.7494 0.6978  6 Mg 2.09-2.12
36 O 0.9015 0.5006 0.6978  6 Mg 2.09-2.12
37 O 0.5981 0.7500 0.3020  6 Mg 2.09-2.11
38 O 0.0981 0.5000 0.3020  6 Mg 2.09-2.11
39 O 0.5981 0.2500 0.3020  6 Mg 2.09-2.11
40 O 0.0981 0.0000 0.3020  6 Mg 2.09-2.11

Summary:
The energy above the most stable polymorph in this dataset comes out at 5 meV per atom.

Quick rundown of uncorrected energy, same order as above: -19.086, -20.710, -9.935, -24.785, -13.894, -34.008, -23.336, -8.733 eV/atom
Quick rundown of formation energy from the elements, same order as above: -944, -651, -3028, -956, -3062, -484, -435, -2638 meV/atom
Quick rundown of magnetic moment, same order as above: 0.00, 0.07, 0.00, 0.00, 0.00, 7.51, 0.37, 0.00 Bohr magnetons per cell